Entry 1:
The following is a DFT calculation (GGA-PBE) of an optimized crystal structure of La10Ga5Cl4.

Cell and atoms, written as POSCAR:
```
La10Ga5Cl4
1.0
-4.044 4.044 16.114
4.044 -4.044 16.114
4.044 4.044 -16.114
La Ga Cl
20 10 8
direct
0.035 0.535 0.166
0.106 0.606 0.849
0.130 0.965 0.500
0.151 0.151 0.000
0.243 0.743 0.849
0.257 0.106 0.500
0.349 0.349 0.000
0.370 0.870 0.834
0.394 0.243 0.500
0.465 0.630 0.500
0.535 0.370 0.500
0.606 0.757 0.500
0.630 0.130 0.166
0.651 0.651 0.000
0.743 0.894 0.500
0.757 0.257 0.151
0.849 0.849 0.000
0.870 0.035 0.500
0.894 0.394 0.151
0.965 0.465 0.834
0.012 0.753 0.500
0.247 0.747 0.259
0.250 0.250 0.000
0.253 0.512 0.500
0.488 0.988 0.741
0.512 0.012 0.259
0.747 0.488 0.500
0.750 0.750 0.000
0.753 0.253 0.741
0.988 0.247 0.500
0.055 0.055 0.000
0.140 0.360 0.500
0.360 0.860 0.221
0.445 0.445 0.000
0.555 0.555 0.000
0.640 0.140 0.779
0.860 0.640 0.500
0.945 0.945 0.000
```

Results
Its spin magnetization is 0.38 μB/cell.

***

Entry 2:
The following is a DFT calculation (GGA-PBE) of an optimized crystal structure of La3Ga4Cl.

Cell and atoms, written as POSCAR:
```
La3Ga4Cl
1.0
-4.132 4.132 5.730
4.132 -4.132 5.730
4.132 4.132 -5.730
La Ga Cl
6 8 2
direct
0.161 0.661 0.822
0.250 0.250 0.000
0.339 0.161 0.500
0.661 0.839 0.500
0.750 0.750 0.000
0.839 0.339 0.178
0.056 0.842 0.500
0.158 0.658 0.214
0.342 0.556 0.500
0.444 0.944 0.786
0.556 0.056 0.214
0.658 0.444 0.500
0.842 0.342 0.786
0.944 0.158 0.500
0.000 0.000 0.000
0.500 0.500 0.000
```

***

| no. | energy relative to the elements (eV per atom) |
| --- | --- |
| 1 | -1.173 |
| 2 | -1.074 |